Record 1
Crystalline Ca5MnSi9Pb9O33 at its relaxed geometry. Source: Materials Project, functional PBE with a Hubbard U.

a = 9.9890 Å, b = 9.9890 Å, c = 10.2928 Å
α = 90.00°, β = 90.00°, γ = 120.00°
Fractional positions:
Ca1 0.0000 0.0000 0.1606
Ca2 0.3333 0.6667 0.1792
Ca3 0.0000 0.0000 0.8394
Ca4 0.3333 0.6667 0.8208
Ca5 0.0000 0.0000 0.5000
Mn1 0.3333 0.6667 0.5000
Si1 0.2628 0.9499 0.3516
Si2 0.0501 0.3128 0.3516
Si3 0.6430 0.9243 0.0000
Si4 0.6872 0.7372 0.6484
Si5 0.2814 0.3570 0.0000
Si6 0.2628 0.9499 0.6484
Si7 0.0757 0.7186 0.0000
Si8 0.0501 0.3128 0.6484
Si9 0.6872 0.7372 0.3516
Pb1 0.9369 0.6057 0.6770
Pb2 0.3943 0.3312 0.3230
Pb3 0.6514 0.5856 0.0000
Pb4 0.9342 0.3486 0.0000
Pb5 0.6688 0.0631 0.6770
Pb6 0.4144 0.0658 0.0000
Pb7 0.9369 0.6057 0.3230
Pb8 0.3943 0.3312 0.6770
Pb9 0.6688 0.0631 0.3230
O1 0.1630 0.1733 0.0000
O2 0.2935 0.0339 0.5000
O3 0.9661 0.2596 0.5000
O4 0.4040 0.4204 0.1245
O5 0.1254 0.1982 0.3299
O6 0.3572 0.0927 0.7517
O7 0.1824 0.4922 0.6516
O8 0.0163 0.5960 0.1245
O9 0.3098 0.8176 0.3484
O10 0.1824 0.4922 0.3484
O11 0.8018 0.9273 0.3299
O12 0.3098 0.8176 0.6516
O13 0.9073 0.2645 0.7517
O14 0.3572 0.0927 0.2483
O15 0.0103 0.8370 0.0000
O16 0.7355 0.6428 0.7517
O17 0.7355 0.6428 0.2483
O18 0.7404 0.7065 0.5000
O19 0.5377 0.7329 0.0000
O20 0.1254 0.1982 0.6701
O21 0.5796 0.9837 0.8755
O22 0.0727 0.8746 0.3299
O23 0.9073 0.2645 0.2483
O24 0.5078 0.6902 0.6516
O25 0.0727 0.8746 0.6701
O26 0.5796 0.9837 0.1245
O27 0.2671 0.8049 0.0000
O28 0.1951 0.4623 0.0000
O29 0.5078 0.6902 0.3484
O30 0.8018 0.9273 0.6701
O31 0.8267 0.9897 0.0000
O32 0.0163 0.5960 0.8755
O33 0.4040 0.4204 0.8755

E_form = -2770 meV per atom
Calculated volume = 889 Å³/cell
Uncorrected energy = -6.987 eV per atom
Symmetry = P-6

=====

Record 2
Crystalline Zn3Cr2Si3O12 at its relaxed geometry. Source: Materials Project, functional PBE with a Hubbard U.

a = 10.2380 Å, b = 10.2380 Å, c = 10.2380 Å
α = 109.47°, β = 109.47°, γ = 109.47°
Fractional positions:
Zn1 0.2500 0.3750 0.1250
Zn2 0.7500 0.1250 0.3750
Zn3 0.3750 0.1250 0.2500
Zn4 0.1250 0.3750 0.7500
Zn5 0.2500 0.8750 0.6250
Zn6 0.1250 0.2500 0.3750
Zn7 0.6250 0.2500 0.8750
Zn8 0.7500 0.6250 0.8750
Zn9 0.8750 0.7500 0.6250
Zn10 0.8750 0.6250 0.2500
Zn11 0.6250 0.8750 0.7500
Zn12 0.3750 0.7500 0.1250
Cr1 0.5000 0.0000 0.0000
Cr2 0.5000 0.5000 0.0000
Cr3 0.0000 0.5000 0.5000
Cr4 0.0000 0.0000 0.5000
Cr5 0.5000 0.5000 0.5000
Cr6 0.0000 0.5000 0.0000
Cr7 0.5000 0.0000 0.5000
Cr8 0.0000 0.0000 0.0000
Si1 0.1250 0.7500 0.8750
Si2 0.8750 0.2500 0.1250
Si3 0.7500 0.3750 0.6250
Si4 0.1250 0.8750 0.2500
Si5 0.2500 0.1250 0.8750
Si6 0.3750 0.6250 0.7500
Si7 0.3750 0.2500 0.6250
Si8 0.8750 0.1250 0.7500
Si9 0.6250 0.3750 0.2500
Si10 0.7500 0.8750 0.1250
Si11 0.2500 0.6250 0.3750
Si12 0.6250 0.7500 0.3750
O1 0.5851 0.8944 0.3766
O2 0.3766 0.5851 0.8944
O3 0.2915 0.3094 0.9149
O4 0.4821 0.6056 0.1906
O5 0.3094 0.8944 0.0179
O6 0.1234 0.0179 0.2085
O7 0.3766 0.2915 0.4821
O8 0.8944 0.3766 0.5851
O9 0.1906 0.2085 0.5851
O10 0.4821 0.3766 0.2915
O11 0.8944 0.0179 0.3094
O12 0.6056 0.9149 0.1234
O13 0.9149 0.1234 0.6056
O14 0.2915 0.4821 0.3766
O15 0.5851 0.1906 0.2085
O16 0.2085 0.5851 0.1906
O17 0.0179 0.3094 0.8944
O18 0.9149 0.2915 0.3094
O19 0.0179 0.2085 0.1234
O20 0.8094 0.7915 0.4149
O21 0.1906 0.4821 0.6056
O22 0.6056 0.1906 0.4821
O23 0.2085 0.1234 0.0179
O24 0.1234 0.6056 0.9149
O25 0.4149 0.1056 0.6234
O26 0.6234 0.4149 0.1056
O27 0.7085 0.6906 0.0851
O28 0.5179 0.3945 0.8094
O29 0.6906 0.1056 0.9821
O30 0.8766 0.9821 0.7915
O31 0.6234 0.7085 0.5179
O32 0.1056 0.6234 0.4149
O33 0.8766 0.3945 0.0851
O34 0.7915 0.8766 0.9821
O35 0.3945 0.8094 0.5179
O36 0.6906 0.0851 0.7085
O37 0.8094 0.5179 0.3945
O38 0.9821 0.7915 0.8766
O39 0.0851 0.7085 0.6906
O40 0.9821 0.6906 0.1056
O41 0.7915 0.4149 0.8094
O42 0.4149 0.8094 0.7915
O43 0.7085 0.5179 0.6234
O44 0.0851 0.8766 0.3945
O45 0.3945 0.0851 0.8766
O46 0.1056 0.9821 0.6906
O47 0.5179 0.6234 0.7085
O48 0.3094 0.9149 0.2915

E_form = -2501 meV per atom
Calculated volume = 826 Å³/cell
Uncorrected energy = -6.826 eV per atom
Symmetry = Ia-3d

=====

Record 3
Crystalline TiFe2O4 at its relaxed geometry. Source: Materials Project, functional PBE with a Hubbard U.

a = 3.0008 Å, b = 5.2193 Å, c = 10.1176 Å
α = 90.13°, β = 89.62°, γ = 106.19°
Fractional positions:
Ti1 0.8750 0.7520 0.5714
Ti2 0.1256 0.2481 0.0717
Fe1 0.5955 0.2058 0.7852
Fe2 0.8641 0.7205 0.9225
Fe3 0.4000 0.7927 0.2848
Fe4 0.1418 0.2796 0.4223
O1 0.2191 0.4232 0.8841
O2 0.7912 0.5774 0.3838
O3 0.7433 0.4908 0.1057
O4 0.2564 0.5101 0.6051
O5 0.4931 0.9890 0.4944
O6 0.5084 0.0117 0.9944
O7 0.0386 0.0726 0.2373
O8 0.9479 0.9267 0.7375

E_form = -2301 meV per atom
Polymorph energy (0 for the lowest one) = 66 meV per atom
Calculated volume = 152 Å³/cell
Uncorrected energy = -7.639 eV per atom
Symmetry = P1

=====

Record 4
Crystalline Cr2NiO4 at its relaxed geometry. Source: Materials Project, functional PBE with a Hubbard U.

a = 5.9614 Å, b = 5.9618 Å, c = 5.9546 Å
α = 60.24°, β = 88.09°, γ = 118.11°
Fractional positions:
Cr1 0.5000 0.0000 0.0000
Cr2 0.0000 0.5000 0.5000
Cr3 0.0000 0.5000 0.0000
Cr4 0.0000 0.0000 0.0000
Ni1 0.6189 0.7507 0.6305
Ni2 0.3811 0.2493 0.3696
O1 0.7554 0.4754 0.7692
O2 0.7728 0.0298 0.7565
O3 0.7557 0.0251 0.2191
O4 0.2446 0.5245 0.2309
O5 0.7863 0.5293 0.2435
O6 0.2272 0.9703 0.2435
O7 0.2138 0.4707 0.7565
O8 0.2443 0.9748 0.7809

E_form = -1948 meV per atom
Polymorph energy (0 for the lowest one) = 93 meV per atom
Calculated volume = 152 Å³/cell
Uncorrected energy = -7.032 eV per atom
Symmetry = C2/m

=====

Record 5
Crystalline MgCr2Ge4O12 at its relaxed geometry. Source: Materials Project, functional PBE with a Hubbard U.

a = 5.5879 Å, b = 6.7001 Å, c = 6.8253 Å
α = 83.00°, β = 76.74°, γ = 74.51°
Fractional positions:
Mg1 0.8504 0.4551 0.8068
Cr1 0.7576 0.9244 0.0859
Cr2 0.2595 0.0958 0.9174
Ge1 0.7579 0.3907 0.2377
Ge2 0.6995 0.8653 0.6043
Ge3 0.2389 0.6516 0.7831
Ge4 0.2832 0.1981 0.3916
O1 0.4450 0.3970 0.3680
O2 0.0065 0.6858 0.6340
O3 0.5652 0.6354 0.6714
O4 0.9551 0.3381 0.4204
O5 0.2949 0.0421 0.6200
O6 0.2272 0.3953 0.8641
O7 0.7734 0.9643 0.3606
O8 0.7436 0.6229 0.0809
O9 0.8587 0.2128 0.0308
O10 0.6367 0.0029 0.8241
O11 0.1406 0.8303 0.9736
O12 0.3751 0.0520 0.1772

E_form = -2187 meV per atom
Polymorph energy (0 for the lowest one) = 58 meV per atom
Calculated volume = 239 Å³/cell
Uncorrected energy = -6.742 eV per atom
Symmetry = P1

=====

Record 6
Crystalline Co9Cu3O16 at its relaxed geometry. Source: Materials Project, functional PBE with a Hubbard U.

a = 5.8586 Å, b = 5.8586 Å, c = 10.1859 Å
α = 106.71°, β = 90.00°, γ = 60.00°
Fractional positions:
Co1 0.0618 0.8765 0.3144
Co2 0.9992 0.0016 0.0024
Co3 0.5621 0.3762 0.3144
Co4 0.0618 0.3762 0.3144
Co5 0.1260 0.7479 0.6219
Co6 0.8130 0.3740 0.5610
Co7 0.5639 0.8722 0.8110
Co8 0.5639 0.3749 0.8110
Co9 0.0612 0.3749 0.8110
Cu1 0.6237 0.7526 0.1289
Cu2 0.3126 0.3749 0.0623
Cu3 0.5006 0.9988 0.4982
O1 0.9589 0.6208 0.2005
O2 0.4203 0.6208 0.2005
O3 0.4203 0.1593 0.2005
O4 0.1946 0.6107 0.4161
O5 0.7058 0.5884 0.4338
O6 0.9298 0.1404 0.2107
O7 0.1546 0.1396 0.4338
O8 0.7058 0.1396 0.4338
O9 0.4714 0.6058 0.6830
O10 0.9228 0.6058 0.6830
O11 0.9228 0.1545 0.6830
O12 0.6916 0.6168 0.9252
O13 0.1994 0.6012 0.9320
O14 0.4336 0.1328 0.6992
O15 0.1994 0.1314 0.9320
O16 0.6692 0.1314 0.9320

E_form = -1197 meV per atom
Polymorph energy (0 for the lowest one) = 25 meV per atom
Calculated volume = 286 Å³/cell
Uncorrected energy = -5.829 eV per atom
Symmetry = R3m